Density functional theory data (r2SCAN) for a geometry-optimized CsLi2I3 structure.

a b c (Å): 4.595 4.595 10.816
angles (deg): 90.00 90.00 90.00
Space group P-4m2 (No. 115)
Symmetry-distinct sites (fractional):
Cs  0.000  0.000  0.000 [1 per cell]
Li  0.000  0.500  0.643 [2 per cell]
I  0.000  0.000  0.500 [1 per cell]
I  0.500  0.500  0.207 [2 per cell]

Properties
E_form = -9.11 eV/f.u.
size of the total moment = 0.0 Bohr magnetons per cell
E = -18.78 eV/atom

***

Density functional theory data (r2SCAN) for a geometry-optimized MnO2 structure.

a b c (Å): 2.8556 2.8556 27.6381
angles (deg): 90.00 90.00 120.00
Space group R-3m (No. 166, hexagonal axes)
Symmetry-distinct sites (fractional):
Mn  0.0000  0.0000  0.0000 [3 per cell]
Mn  0.0000  0.0000  0.5000 [3 per cell]
O  0.0000  0.0000  0.1323 [6 per cell]
O  0.0000  0.0000  0.2990 [6 per cell]

Properties
E_form = -5.93 eV/f.u.
size of the total moment = 18.0 Bohr magnetons per cell
E = -10.85 eV/atom

***

Density functional theory data (r2SCAN) for a geometry-optimized TlV12S16 structure.

a b c (Å): 3.375 9.329 15.871
angles (deg): 88.83 89.94 89.99
Space group P-1 (No. 2)
Symmetry-distinct sites (fractional):
Tl  0.000  0.000  0.000 [1 per cell]
V  0.247  0.310  0.823 [2 per cell]
V  0.248  0.568  0.938 [2 per cell]
V  0.249  0.613  0.742 [2 per cell]
V  0.250  0.070  0.439 [2 per cell]
V  0.250  0.114  0.246 [2 per cell]
V  0.251  0.806  0.325 [2 per cell]
S  0.249  0.373  0.674 [2 per cell]
S  0.250  0.002  0.664 [2 per cell]
S  0.250  0.296  0.350 [2 per cell]
S  0.250  0.828  0.480 [2 per cell]
S  0.251  0.501  0.166 [2 per cell]
S  0.251  0.797  0.847 [2 per cell]
S  0.254  0.328  0.981 [2 per cell]
S  0.254  0.871  0.175 [2 per cell]

Properties
E_form = -33.56 eV/f.u.
size of the total moment = 0.6 Bohr magnetons per cell
E = -13.25 eV/atom

***

Density functional theory data (r2SCAN) for a geometry-optimized Nb2CoO6 structure.

a b c (Å): 14.066 5.722 5.019
angles (deg): 90.00 90.00 90.00
Space group Pbcn (No. 60)
Symmetry-distinct sites (fractional):
Nb  0.158  0.181  0.247 [8 per cell]
Co  0.000  0.355  0.750 [4 per cell]
O  0.075  0.378  0.431 [8 per cell]
O  0.093  0.113  0.920 [8 per cell]
O  0.245  0.117  0.582 [8 per cell]

Properties
E_form = -21.31 eV/f.u.
size of the total moment = 4.0 Bohr magnetons per cell
E = -13.32 eV/atom

***

Density functional theory data (r2SCAN) for a geometry-optimized LiRh structure.

a b c (Å): 2.6523 2.6523 4.3266
angles (deg): 90.00 90.00 120.00
Space group P-6m2 (No. 187)
Symmetry-distinct sites (fractional):
Li  0.0000  0.0000  0.0000 [1 per cell]
Rh  0.6667  0.3333  0.5000 [1 per cell]

Properties
E_form = -0.37 eV/f.u.
size of the total moment = 0.5 Bohr magnetons per cell
E = -13.45 eV/atom

***

Density functional theory data (r2SCAN) for a geometry-optimized Ti5S8 structure.

a b c (Å): 11.552 6.878 8.240
angles (deg): 90.00 133.89 90.00
Space group C2/m (No. 12)
Symmetry-distinct sites (fractional):
Ti  0.000  0.000  0.000 [2 per cell]
Ti  0.000  0.264  0.500 [4 per cell]
Ti  0.244  0.500  0.990 [4 per cell]
S  0.036  0.000  0.331 [4 per cell]
S  0.041  0.500  0.333 [4 per cell]
S  0.208  0.250  0.170 [8 per cell]

Properties
E_form = -20.53 eV/f.u.
size of the total moment = 0.0 Bohr magnetons per cell
E = -11.50 eV/atom

***

Density functional theory data (r2SCAN) for a geometry-optimized Tm2InCu2 structure.

a b c (Å): 7.358 7.358 3.707
angles (deg): 90.00 90.00 90.00
Space group P4/mbm (No. 127)
Symmetry-distinct sites (fractional):
Tm  0.171  0.329  0.000 [4 per cell]
In  0.000  0.000  0.500 [2 per cell]
Cu  0.121  0.621  0.500 [4 per cell]

Properties
E_form = -2.30 eV/f.u.
size of the total moment = 0.6 Bohr magnetons per cell
E = -23.36 eV/atom

***

Density functional theory data (r2SCAN) for a geometry-optimized SrCrF4 structure.

a b c (Å): 5.689 5.689 10.871
angles (deg): 90.00 90.00 90.00
Space group I4/mcm (No. 140)
Symmetry-distinct sites (fractional):
Sr  0.000  0.000  0.250 [4 per cell]
Cr  0.000  0.500  0.000 [4 per cell]
F  0.176  0.324  0.126 [16 per cell]

Properties
E_form = -20.79 eV/f.u.
size of the total moment = 16.0 Bohr magnetons per cell
E = -10.59 eV/atom